A plane-wave DFT calculation with PBE was carried out for crystalline Na6La4Nb4Si7S5O48 at its relaxed geometry.

abc: 9.2146 16.0114 23.6832
angles: 89.57 89.75 89.91
With the nearest neighbours (Å) after each atom.
Element x y z (fractional)
Na 0.0000 0.0000 0.0000  3 O 2.45-2.66
Na 0.0106 0.9973 0.4861  6 O 2.47-2.66
Na 0.0226 0.6597 0.6534  5 O 2.55-2.75
Na 0.0240 0.3280 0.8307  5 O 2.53-2.82
Na 0.0470 0.6693 0.1708  2 O 2.32-2.35
Na 0.0603 0.3180 0.3232  2 O 2.32-2.39
Na 0.1518 0.4940 0.7462  2 O 2.25-2.28
Na 0.3953 0.9949 0.2564  3 O 2.26-2.36
Na 0.4898 0.8200 0.8210  2 O 2.27-2.34
Na 0.5039 0.1693 0.6604  2 O 2.43-2.52
Na 0.5255 0.1606 0.1622  4 O 2.48-2.77
Na 0.5274 0.8294 0.3340  6 O 2.58-2.89
Na 0.5399 0.4911 0.9876  6 O 2.43-2.68
Na 0.5526 0.4986 0.4964  5 O 2.56-2.83
Na 0.6381 0.0000 0.7467  5 O 2.35-2.51
Na 0.6816 0.3260 0.0684  5 O 2.47-2.72
Na 0.8729 0.8274 0.5651  5 O 2.41-2.68
Na 0.9147 0.4994 0.2511  5 O 2.36-2.46
La 0.0055 0.6573 0.4974  3 O 2.21-2.30
La 0.0177 0.3171 0.6770  3 O 2.19-2.42
La 0.0353 0.6738 0.3127  6 O 2.26-2.50
La 0.0376 0.3327 0.1814  5 O 2.25-2.44
La 0.0396 0.0038 0.6340  3 O 2.16-2.41
La 0.0508 0.6627 0.8141  4 O 2.23-2.48
La 0.5114 0.1645 0.3182  5 O 2.26-2.52
La 0.5134 0.8330 0.6798  5 O 2.24-2.38
La 0.5148 0.5027 0.1359  2 O 2.15-2.37
La 0.5181 0.1730 0.8112  6 O 2.29-2.46
La 0.5322 0.8179 0.1803  5 O 2.23-2.47
La 0.5475 0.1609 0.9979  3 O 2.22-2.33
Nb 0.0059 0.3312 0.4692  4 O 1.87-1.95
Nb 0.0134 0.3313 0.9783  4 O 1.87-2.00
Nb 0.0221 0.9970 0.1389  5 O 1.90-2.10
Nb 0.0247 0.6649 0.0074  6 O 1.94-2.13
Nb 0.0446 0.9866 0.8504  5 O 1.89-2.09
Nb 0.0478 0.9983 0.3522  5 O 1.93-2.03
Nb 0.5022 0.4899 0.8465  4 O 1.86-1.96
Nb 0.5076 0.4856 0.3505  5 O 1.89-2.09
Nb 0.5267 0.4964 0.6359  6 O 1.94-2.14
Nb 0.5391 0.8395 0.9735  3 O 1.85-1.96
Nb 0.5408 0.8319 0.4790  4 O 1.87-1.97
Nb 0.5425 0.1627 0.5038  5 O 1.89-2.01
Si 0.1660 0.8586 0.2426  4 O 1.60-1.69
Si 0.1676 0.1359 0.2421  4 O 1.60-1.71
Si 0.1711 0.5087 0.9112  4 O 1.62-1.69
Si 0.1905 0.8107 0.9124  4 O 1.60-1.68
Si 0.2280 0.4989 0.2467  4 O 1.62-1.71
Si 0.3245 0.9990 0.7460  4 O 1.62-1.72
Si 0.3624 0.3102 0.4136  4 O 1.60-1.70
Si 0.3814 0.3546 0.7392  4 O 1.59-1.73
Si 0.3848 0.0079 0.4119  4 O 1.62-1.68
Si 0.3911 0.6358 0.7417  4 O 1.59-1.69
Si 0.6708 0.9836 0.5767  4 O 1.61-1.71
Si 0.6721 0.6815 0.5784  4 O 1.60-1.69
Si 0.6846 0.3252 0.9114  4 O 1.60-1.68
Si 0.6887 0.0080 0.9020  4 O 1.59-1.71
Si 0.7247 0.3271 0.5749  4 O 1.61-1.68
Si 0.8275 0.8286 0.0753  4 O 1.60-1.70
Si 0.8292 0.1620 0.4069  4 O 1.59-1.68
Si 0.8641 0.5066 0.4016  4 O 1.60-1.69
Si 0.8700 0.8223 0.4116  4 O 1.60-1.68
Si 0.8804 0.4829 0.0754  4 O 1.60-1.70
Si 0.8825 0.1812 0.0780  4 O 1.60-1.70
S 0.1832 0.4777 0.5777  4 O 1.47-1.53
S 0.1876 0.1868 0.5662  4 O 1.47-1.49
S 0.1972 0.1620 0.9103  4 O 1.46-1.52
S 0.2247 0.8248 0.5695  4 O 1.47-1.49
S 0.3268 0.3265 0.0692  4 O 1.46-1.50
S 0.3565 0.6624 0.4105  4 O 1.46-1.52
S 0.3672 0.6859 0.0664  4 O 1.47-1.51
S 0.3712 0.9749 0.0753  4 O 1.46-1.52
S 0.6655 0.3536 0.2466  4 O 1.46-1.51
S 0.6666 0.6380 0.2503  4 O 1.47-1.49
S 0.7217 0.6662 0.9144  4 O 1.46-1.51
S 0.7484 0.9987 0.2411  4 O 1.45-1.53
S 0.8012 0.4982 0.7416  4 O 1.47-1.50
S 0.8864 0.8547 0.7474  4 O 1.47-1.51
S 0.8886 0.1377 0.7510  4 O 1.47-1.49
O 0.0936 0.2262 0.2450  1 Si 1.60
O 0.0938 0.7678 0.2395  1 Si 1.60
O 0.0990 0.0865 0.9022  1 S 1.52
O 0.0998 0.7592 0.9610  1 Si 1.64
O 0.1017 0.2355 0.9181  1 S 1.48
O 0.1018 0.5315 0.8503  1 Si 1.62
O 0.1040 0.0805 0.1859  1 Si 1.71, 1 Nb 1.90
O 0.1077 0.9122 0.1851  1 Si 1.69
O 0.1164 0.1041 0.5610  1 S 1.48
O 0.1176 0.9058 0.9031  1 Si 1.68
O 0.1182 0.9122 0.2998  1 Si 1.67
O 0.1186 0.0818 0.2996  1 Si 1.67
O 0.1235 0.2437 0.5244  1 S 1.47
O 0.1236 0.4151 0.9322  1 Si 1.63
O 0.1265 0.5816 0.2443  1 Si 1.62
O 0.1256 0.5830 0.9570  1 Si 1.67
O 0.1278 0.7512 0.5692  1 S 1.48
O 0.1291 0.4161 0.2555  1 Si 1.62
O 0.1287 0.5641 0.5732  1 S 1.47
O 0.1308 0.4406 0.6318  1 S 1.49
O 0.1333 0.9016 0.5638  1 S 1.49
O 0.1433 0.4270 0.5289  1 S 1.47
O 0.1636 0.2207 0.6239  1 S 1.49
O 0.1872 0.7609 0.8541  1 Si 1.60
O 0.1963 0.3324 0.4331  1 Si 1.64
O 0.2033 0.0025 0.4064  1 Si 1.68
O 0.2052 0.3567 0.7426  1 Si 1.63
O 0.2057 0.6763 0.0596  1 S 1.51
O 0.2074 0.0005 0.8026  1 Si 1.72, 1 Nb 1.89
O 0.2085 0.9761 0.0759  1 S 1.50
O 0.2128 0.6319 0.7400  1 Si 1.64
O 0.2243 0.3237 0.0213  1 S 1.48
O 0.2238 0.9959 0.6902  1 Si 1.62
O 0.2507 0.3275 0.1235  1 S 1.46
O 0.2670 0.6441 0.4602  1 S 1.46
O 0.2710 0.6777 0.3596  1 S 1.46
O 0.2827 0.1771 0.8592  1 S 1.46
O 0.2863 0.1433 0.9598  1 S 1.46
O 0.2995 0.8254 0.6240  1 S 1.47
O 0.3275 0.4962 0.1900  1 Si 1.63
O 0.3286 0.8224 0.5219  1 S 1.48
O 0.3440 0.1319 0.2374  1 Si 1.63
O 0.3439 0.8586 0.2419  1 Si 1.64
O 0.3454 0.5007 0.3024  1 Si 1.71, 1 Nb 1.90
O 0.3461 0.1774 0.5595  1 S 1.48
O 0.3488 0.4815 0.5797  1 S 1.53
O 0.3538 0.5032 0.9041  1 Si 1.69
O 0.3591 0.8288 0.9307  1 Si 1.64
O 0.3618 0.2626 0.3545  1 Si 1.60
O 0.3871 0.7214 0.1229  1 S 1.47
O 0.4182 0.4031 0.0632  1 S 1.50
O 0.4179 0.9229 0.0252  1 S 1.52
O 0.4230 0.9161 0.7551  1 Si 1.62
O 0.4237 0.2526 0.0690  1 S 1.48
O 0.4259 0.0816 0.7440  1 Si 1.62
O 0.4265 0.9365 0.1275  1 S 1.47
O 0.4275 0.0599 0.0688  1 S 1.46
O 0.4278 0.7412 0.0227  1 S 1.47
O 0.4289 0.0810 0.4576  1 Si 1.65
O 0.4302 0.4063 0.8001  1 Si 1.73, 1 Nb 1.86
O 0.4321 0.9137 0.4330  1 Si 1.65
O 0.4348 0.6029 0.0612  1 S 1.47
O 0.4366 0.4060 0.4033  1 Si 1.70, 1 Nb 1.89
O 0.4409 0.5807 0.7994  1 Si 1.69
O 0.4426 0.4124 0.6857  1 Si 1.66
O 0.4478 0.5806 0.6858  1 Si 1.68
O 0.4535 0.0284 0.3504  1 Si 1.62
O 0.4525 0.7354 0.4182  1 S 1.48
O 0.4537 0.5864 0.4021  1 S 1.52
O 0.4562 0.2587 0.4607  1 Si 1.63
O 0.4578 0.2653 0.7377  1 Si 1.59
O 0.4611 0.7264 0.7463  1 Si 1.59
O 0.5944 0.5874 0.5840  1 Si 1.67
O 0.5977 0.0741 0.5585  1 Si 1.65
O 0.5983 0.7217 0.2572  1 S 1.49
O 0.5990 0.4017 0.2947  1 S 1.51
O 0.6039 0.7329 0.5220  1 Si 1.69
O 0.6054 0.0421 0.8478  1 Si 1.59
O 0.6077 0.2685 0.2469  1 S 1.46
O 0.6083 0.2960 0.9699  1 Si 1.62
O 0.6112 0.9100 0.5302  1 Si 1.71, 1 Nb 1.87
O 0.6149 0.9135 0.9208  1 Si 1.71, 1 Nb 1.85
O 0.6183 0.9551 0.6389  1 Si 1.61
O 0.6185 0.5831 0.2969  1 S 1.47
O 0.6212 0.2485 0.5570  1 Si 1.64
O 0.6241 0.4210 0.8956  1 Si 1.67
O 0.6235 0.7393 0.9281  1 S 1.51
O 0.6248 0.6036 0.1947  1 S 1.48
O 0.6269 0.3944 0.1924  1 S 1.48
O 0.6279 0.4144 0.5840  1 Si 1.67
O 0.6302 0.5914 0.9107  1 S 1.47
O 0.6471 0.7407 0.6318  1 Si 1.60
O 0.6528 0.9232 0.2412  1 S 1.50
O 0.6548 0.0735 0.2379  1 S 1.48
O 0.6655 0.2623 0.8600  1 Si 1.60
O 0.6812 0.0612 0.9589  1 Si 1.60
O 0.6909 0.4864 0.3896  1 Si 1.66
O 0.6916 0.8368 0.4241  1 Si 1.68
O 0.7023 0.8409 0.0236  1 Si 1.70
O 0.7056 0.4798 0.0667  1 Si 1.63
O 0.7060 0.4965 0.7918  1 S 1.47
O 0.7079 0.1720 0.0696  1 Si 1.63
O 0.7148 0.1494 0.4610  1 Si 1.67
O 0.7168 0.4972 0.6878  1 S 1.50
O 0.7276 0.8586 0.7549  1 S 1.48
O 0.7293 0.1439 0.7509  1 S 1.47
O 0.7377 0.8048 0.1314  1 Si 1.60
O 0.7394 0.1879 0.3524  1 Si 1.59
O 0.7993 0.6855 0.8620  1 S 1.46
O 0.8114 0.3061 0.6324  1 Si 1.61
O 0.8242 0.3570 0.2542  1 S 1.48
O 0.8261 0.6442 0.2492  1 S 1.47
O 0.8260 0.6553 0.9619  1 S 1.49
O 0.8348 0.9965 0.1859  1 S 1.53
O 0.8422 0.9973 0.2901  1 S 1.45
O 0.8463 0.9798 0.5678  1 Si 1.63
O 0.8469 0.6714 0.5709  1 Si 1.63
O 0.8489 0.3421 0.5240  1 Si 1.68
O 0.8611 0.9860 0.8909  1 Si 1.65
O 0.8633 0.3367 0.9231  1 Si 1.68
O 0.8667 0.5614 0.4582  1 Si 1.61
O 0.8817 0.7581 0.3605  1 Si 1.60
O 0.8943 0.5738 0.7410  1 S 1.48
O 0.8983 0.4234 0.7429  1 S 1.49
O 0.9054 0.2426 0.1303  1 Si 1.60
O 0.9246 0.9141 0.0824  1 Si 1.65
O 0.9290 0.1019 0.6958  1 S 1.48
O 0.9289 0.7487 0.0546  1 Si 1.66
O 0.9291 0.8934 0.6934  1 S 1.47
O 0.9340 0.0808 0.4000  1 Si 1.63
O 0.9351 0.4126 0.4188  1 Si 1.69, 1 Nb 1.88
O 0.9364 0.9150 0.3958  1 Si 1.65
O 0.9369 0.0833 0.7980  1 S 1.48
O 0.9373 0.2395 0.4285  1 Si 1.68, 1 Nb 1.87
O 0.9372 0.4580 0.1371  1 Si 1.60
O 0.9410 0.4102 0.0289  1 Si 1.70, 1 Nb 1.87
O 0.9412 0.7684 0.7500  1 S 1.47
O 0.9431 0.7910 0.4701  1 Si 1.62
O 0.9469 0.5431 0.3476  1 Si 1.60
O 0.9502 0.2336 0.0210  1 Si 1.70
O 0.9499 0.5742 0.0538  1 Si 1.67
O 0.9525 0.9026 0.7957  1 S 1.51
O 0.9568 0.2212 0.7570  1 S 1.49
O 0.9614 0.0877 0.0832  1 Si 1.67

Formation energy from the elements (eV/atom): -2.816
Space-group type: P1
Calculated total energy (eV/atom): -7.2927

A plane-wave DFT calculation with PBE was carried out for crystalline Na4La3NbSi3S3O24 at its relaxed geometry.

abc: 9.4852 9.4898 24.4372
angles: 90.02 90.03 119.91
With the nearest neighbours (Å) after each atom.
Element x y z (fractional)
Na 0.0000 0.0000 0.0000  6 O 2.53-2.82
Na 0.0009 0.3480 0.7505  5 O 2.56-2.84
Na 0.0146 0.9915 0.4885  6 O 2.66-2.92
Na 0.3319 0.6565 0.8261  6 O 2.65-2.88
Na 0.3336 0.6579 0.3241  6 O 2.66-2.91
Na 0.3397 0.0276 0.0796  4 O 2.42-2.67
Na 0.3549 0.9870 0.7496  4 O 2.54-2.73
Na 0.6423 0.6373 0.7495  5 O 2.57-2.87
Na 0.6667 0.3354 0.6788  3 O 2.43-2.51
Na 0.6810 0.3253 0.1609  6 O 2.79-2.95
Na 0.6895 0.6445 0.0803  3 O 2.38-2.53
Na 0.7068 0.0324 0.5801  4 O 2.41-2.66
La 0.0079 0.9891 0.6482  3 O 2.22-2.32
La 0.3264 0.6510 0.6804  6 O 2.27-2.41
La 0.3273 0.6511 0.1798  3 O 2.22-2.25
La 0.6650 0.3315 0.5096  3 O 2.19-2.28
La 0.6659 0.3217 0.8180  3 O 2.27-2.31
La 0.6779 0.3242 0.0132  6 O 2.27-2.47
La 0.9969 0.9891 0.3501  6 O 2.27-2.44
La 0.9974 0.9889 0.8444  3 O 2.23-2.24
La 0.9982 0.0024 0.1411  3 O 2.29-2.38
Nb 0.3273 0.6530 0.9872  3 O 1.88-1.89
Nb 0.3316 0.6563 0.4654  3 O 1.90
Nb 0.6649 0.3228 0.3246  3 O 1.91
Si 0.0407 0.6643 0.0793  4 O 1.60-1.74
Si 0.3043 0.2911 0.7474  4 O 1.62-1.65
Si 0.3326 0.3630 0.0772  4 O 1.60-1.72
Si 0.3739 0.3327 0.4139  4 O 1.58-1.73
Si 0.6200 0.9418 0.0786  4 O 1.60-1.73
Si 0.6572 0.0254 0.4175  4 O 1.59-1.74
Si 0.6984 0.9939 0.7418  4 O 1.63-1.66
Si 0.9664 0.6145 0.4138  4 O 1.58-1.73
Si 0.9952 0.6851 0.7471  4 O 1.62-1.65
S 0.0448 0.3624 0.5722  4 O 1.49
S 0.3237 0.0110 0.2499  4 O 1.47-1.52
S 0.3303 0.9380 0.5721  4 O 1.47-1.50
S 0.3554 0.9957 0.9179  4 O 1.47-1.51
S 0.6198 0.6665 0.5728  4 O 1.47-1.50
S 0.6474 0.6334 0.9177  4 O 1.48-1.51
S 0.6953 0.6655 0.2496  4 O 1.47-1.52
S 0.9777 0.2942 0.2519  4 O 1.47-1.52
S 0.9972 0.3416 0.9152  4 O 1.47-1.50
O 0.0076 0.7958 0.4020  1 Si 1.59
O 0.0168 0.1974 0.9155  1 S 1.47
O 0.0288 0.1980 0.5688  1 S 1.49
O 0.0307 0.8033 0.7995  1 Si 1.62
O 0.0495 0.8417 0.0783  1 Si 1.64
O 0.1169 0.4387 0.6258  1 S 1.49
O 0.1202 0.6388 0.1333  1 Si 1.60
O 0.1211 0.4604 0.2501  1 S 1.48
O 0.1472 0.4673 0.5266  1 S 1.49
O 0.1491 0.6200 0.4227  1 Si 1.72, 1 Nb 1.90
O 0.1528 0.6580 0.7429  1 Si 1.64
O 0.1587 0.4941 0.9226  1 S 1.50
O 0.1614 0.6663 0.0254  1 Si 1.74, 1 Nb 1.89
O 0.1703 0.1830 0.0776  1 Si 1.63
O 0.1865 0.2071 0.7997  1 Si 1.62
O 0.1866 0.9587 0.5685  1 S 1.47
O 0.1916 0.9769 0.9165  1 S 1.47
O 0.1936 0.1924 0.4014  1 Si 1.59
O 0.2137 0.9935 0.2950  1 S 1.47
O 0.2243 0.1777 0.6928  1 Si 1.64
O 0.2565 0.0299 0.1967  1 S 1.50
O 0.3180 0.4748 0.0241  1 Si 1.72, 1 Nb 1.88
O 0.3273 0.8308 0.5264  1 S 1.50
O 0.3300 0.4750 0.7429  1 Si 1.64
O 0.3338 0.8653 0.6257  1 S 1.49
O 0.3438 0.8322 0.9240  1 S 1.51
O 0.3454 0.8665 0.2490  1 S 1.48
O 0.3639 0.4714 0.1310  1 Si 1.60
O 0.3692 0.5101 0.4231  1 Si 1.72, 1 Nb 1.90
O 0.4461 0.0690 0.8660  1 S 1.50
O 0.4457 0.1007 0.9649  1 S 1.48
O 0.4482 0.3078 0.4686  1 Si 1.58
O 0.4793 0.8408 0.4241  1 Si 1.73, 1 Nb 1.90
O 0.4850 0.0972 0.5710  1 S 1.49
O 0.4864 0.3106 0.7540  1 Si 1.65
O 0.4879 0.1626 0.2592  1 S 1.52
O 0.4924 0.3440 0.0681  1 Si 1.63
O 0.4952 0.6442 0.9236  1 S 1.51
O 0.5064 0.8183 0.0250  1 Si 1.73, 1 Nb 1.88
O 0.5075 0.3565 0.3617  1 Si 1.73, 1 Nb 1.91
O 0.5125 0.6627 0.5270  1 S 1.50
O 0.5130 0.8365 0.7405  1 Si 1.64
O 0.5161 0.8639 0.1330  1 Si 1.60
O 0.5288 0.6434 0.2491  1 S 1.49
O 0.5428 0.6610 0.6263  1 S 1.49
O 0.6323 0.5433 0.8658  1 S 1.49
O 0.6329 0.1173 0.0702  1 Si 1.62
O 0.6349 0.1381 0.3655  1 Si 1.74, 1 Nb 1.91
O 0.6460 0.5259 0.5717  1 S 1.47
O 0.6628 0.5438 0.9648  1 S 1.48
O 0.6783 0.1154 0.4745  1 Si 1.59
O 0.6828 0.1579 0.7516  1 Si 1.65
O 0.6849 0.5024 0.2583  1 S 1.52
O 0.7773 0.8228 0.5692  1 S 1.49
O 0.7808 0.7345 0.1965  1 S 1.50
O 0.7869 0.7754 0.2948  1 S 1.47
O 0.7902 0.9363 0.0776  1 Si 1.64
O 0.7903 0.9614 0.7924  1 Si 1.63
O 0.7915 0.7979 0.9164  1 S 1.48
O 0.7969 0.9854 0.4031  1 Si 1.59
O 0.7996 0.0215 0.6838  1 Si 1.66
O 0.8245 0.3046 0.2594  1 S 1.52
O 0.8320 0.5044 0.7540  1 Si 1.65
O 0.8531 0.5204 0.0721  1 Si 1.62
O 0.8554 0.4825 0.3615  1 Si 1.73, 1 Nb 1.91
O 0.8682 0.5385 0.4685  1 Si 1.58
O 0.8770 0.3391 0.5720  1 S 1.49
O 0.8883 0.3269 0.9607  1 S 1.48
O 0.9272 0.3582 0.8625  1 S 1.49
O 0.9605 0.2053 0.1996  1 S 1.49
O 0.9633 0.7655 0.6924  1 Si 1.64
O 0.9967 0.2064 0.2980  1 S 1.47

Formation energy from the elements (eV/atom): -2.787
Space-group type: P1
Calculated total energy (eV/atom): -7.0277